#P
Here is a geometry-optimized Li4Mn3Co3O12 structure from the Materials Project database. Energies are from PBE with a Hubbard U.

Unit cell a=5.749 b=10.116 c=7.975 alpha=99.47 beta=78.65 gamma=96.82
Sites, in units of the cell vectors:
O 0.758 0.146 0.138
O 0.924 0.641 0.938
O 0.576 0.354 0.029
Li 0.666 0.500 0.838
O 0.750 0.644 0.640
O 0.577 0.133 0.804
Co 0.831 0.242 0.920
O 0.094 0.652 0.300
Mn 0.996 0.749 0.748
O 0.242 0.354 0.373
O 0.907 0.352 0.710
Mn 0.000 0.254 0.248
Li 0.164 0.002 0.321
O 0.594 0.642 0.308
Co 0.501 0.751 0.745
Li 0.857 0.996 0.699
O 0.408 0.357 0.729
O 0.424 0.644 0.966
O 0.427 0.148 0.457
Mn 0.667 0.250 0.583
Co 0.167 0.750 0.083
O 0.740 0.858 0.859
Co 0.502 0.258 0.247
O 0.079 0.355 0.051
O 0.069 0.851 0.548
Mn 0.667 0.750 0.083
O 0.091 0.146 0.793
Li 0.884 0.502 0.211
Li 0.169 0.498 0.846
O 0.925 0.143 0.437
O 0.255 0.145 0.116
Li 0.448 0.998 0.956
Co 0.167 0.250 0.583
Mn 0.337 0.751 0.419
O 0.265 0.649 0.619
O 0.584 0.856 0.527
Mn 0.333 0.246 0.918
O 0.910 0.856 0.201
O 0.240 0.848 0.867
Co 0.833 0.748 0.421
Li 0.667 0.000 0.328
O 0.757 0.367 0.363
Li 0.477 0.504 0.468
O 0.409 0.859 0.229

Output
Crystal system: triclinic
Size of the total moment (Bohr magnetons per cell): 20.001

***

#Q
Here is a geometry-optimized Li4Mn3Co3O12 structure from the Materials Project database. Energies are from PBE with a Hubbard U.

Unit cell a=6.899 b=5.875 c=5.709 alpha=89.14 beta=102.18 gamma=76.72
Sites, in units of the cell vectors:
O 0.629 0.095 0.419
Li 0.667 0.333 0.167
O 0.330 0.946 0.589
O 0.971 0.725 0.242
Co 0.667 0.833 0.167
Mn 0.333 0.168 0.337
O 0.362 0.942 0.091
Co 0.328 0.167 0.833
O 0.329 0.385 0.588
O 0.654 0.054 0.917
Li 0.027 0.976 0.480
Co 0.005 0.500 0.500
Li 0.667 0.333 0.667
O 0.305 0.399 0.073
O 0.028 0.267 0.260
O 0.679 0.613 0.416
O 0.003 0.720 0.745
O 0.705 0.572 0.915
Li 0.306 0.691 0.854
Mn 0.001 0.499 0.996
Mn 0.667 0.833 0.667
O 0.004 0.282 0.746

Output
Crystal system: triclinic
Size of the total moment (Bohr magnetons per cell): 16.005

***

Most stable = #P

***

#P
Here is a geometry-optimized LiMn4Co2O12 structure from the Materials Project database. Energies are from PBE with a Hubbard U.

Unit cell a=5.059 b=5.081 c=10.135 alpha=90.05 beta=89.48 gamma=60.00
Sites, in units of the cell vectors:
Mn 0.667 0.666 0.991
O 0.987 0.366 0.100
O 0.342 0.158 0.404
Co 0.999 0.501 0.515
O 0.663 0.333 0.902
Mn 0.332 0.835 0.501
O 0.666 0.993 0.094
O 0.000 0.153 0.599
O 0.671 0.502 0.405
O 0.344 0.498 0.598
O 0.653 0.845 0.599
Co 0.999 0.001 0.995
Li 0.821 0.691 0.254
O 0.004 0.648 0.897
Mn 0.667 0.166 0.501
O 0.999 0.832 0.403
O 0.333 0.666 0.092
Mn 0.327 0.338 0.999
O 0.327 0.005 0.903

Output
Crystal system: triclinic
Size of the total moment (Bohr magnetons per cell): 16.996

***

#Q
Here is a geometry-optimized LiMn4Co2O12 structure from the Materials Project database. Energies are from PBE with a Hubbard U.

Unit cell a=5.072 b=5.064 c=10.237 alpha=89.97 beta=91.71 gamma=59.91
Sites, in units of the cell vectors:
O 0.660 0.333 0.903
O 0.343 0.493 0.597
Li 0.499 0.844 0.250
O 0.993 0.840 0.408
O 0.659 0.987 0.099
Mn 0.337 0.329 0.999
O 0.664 0.844 0.601
Mn 0.663 0.166 0.501
Mn 0.332 0.835 0.508
O 0.001 0.163 0.596
Mn 0.668 0.668 0.992
Co 0.997 0.502 0.505
O 0.008 0.333 0.092
O 0.339 0.008 0.898
O 0.999 0.665 0.904
O 0.348 0.666 0.094
O 0.339 0.148 0.402
O 0.650 0.514 0.405
Co 0.002 0.000 0.995

Output
Crystal system: triclinic
Size of the total moment (Bohr magnetons per cell): 18.999

***

Most stable = #P

***

#P
Here is a geometry-optimized Li6Mn5CoO12 structure from the Materials Project database. Energies are from PBE with a Hubbard U.

Unit cell a=5.123 b=5.134 c=10.334 alpha=89.97 beta=96.10 gamma=115.44
Sites, in units of the cell vectors:
Li 0.347 0.316 0.215
O 0.445 0.289 0.396
Mn 0.169 0.331 0.500
O 0.677 0.034 0.886
O 0.323 0.966 0.114
Mn 0.669 0.333 0.000
Li 0.690 0.992 0.216
O 0.017 0.692 0.883
Li 0.029 0.670 0.220
O 0.775 0.960 0.397
O 0.645 0.628 0.115
O 0.555 0.711 0.604
Li 0.310 0.008 0.784
Li 0.971 0.330 0.780
Mn 0.331 0.667 0.000
O 0.150 0.665 0.406
O 0.850 0.335 0.594
Mn 0.500 0.000 0.500
Li 0.653 0.684 0.785
O 0.355 0.372 0.885
O 0.983 0.308 0.117
Mn 0.831 0.669 0.500
O 0.225 0.040 0.603
Co 0.000 0.000 0.000

Output
Crystal system: triclinic
Size of the total moment (Bohr magnetons per cell): 22.030

***

#Q
Here is a geometry-optimized Li6Mn5CoO12 structure from the Materials Project database. Energies are from PBE with a Hubbard U.

Unit cell a=5.093 b=9.256 c=10.160 alpha=83.72 beta=84.68 gamma=95.03
Sites, in units of the cell vectors:
O 0.157 0.975 0.612
O 0.692 0.995 0.883
Li 0.115 0.138 0.233
Li 0.613 0.639 0.233
Mn 0.500 0.335 0.497
O 0.299 0.340 0.110
O 0.198 0.498 0.882
Mn 0.997 0.168 0.496
Co 0.500 0.500 0.000
Mn 0.500 0.000 0.500
O 0.336 0.532 0.390
Li 0.883 0.186 0.765
O 0.156 0.634 0.612
O 0.703 0.336 0.889
Mn 0.500 0.665 0.503
O 0.140 0.327 0.599
Li 0.614 0.975 0.233
O 0.664 0.468 0.610
Li 0.619 0.309 0.233
O 0.341 0.859 0.392
O 0.842 0.025 0.388
Mn 0.499 0.835 0.003
Li 0.110 0.479 0.235
Li 0.890 0.521 0.765
Mn 0.003 0.832 0.504
Li 0.117 0.813 0.234
O 0.701 0.660 0.890
O 0.860 0.673 0.401
Co 0.000 0.000 0.000
O 0.217 0.173 0.879
O 0.797 0.172 0.111
O 0.659 0.141 0.608
Li 0.885 0.862 0.767
Li 0.382 0.691 0.767
O 0.802 0.502 0.118
O 0.297 0.664 0.111
O 0.660 0.801 0.612
Li 0.387 0.361 0.767
O 0.309 0.005 0.117
O 0.844 0.367 0.388
O 0.340 0.199 0.388
Mn 0.000 0.500 0.500
O 0.783 0.826 0.121
O 0.203 0.828 0.889
Mn 0.501 0.165 0.997
Mn 0.005 0.334 0.997
Mn 0.995 0.666 0.003
Li 0.386 0.025 0.767

Output
Crystal system: triclinic
Size of the total moment (Bohr magnetons per cell): 44.000

***

Most stable = #P